No. 1
# KNaMg14O15 | the Materials Project database | PBE-GGA | optimized geometry
data_KNaMg14O15
_space_group_name_H-M_alt 'P m m 2'
_space_group_IT_number 25
_cell_length_a 4.390
_cell_length_b 8.842
_cell_length_c 8.493
_cell_angle_alpha 90.00
_cell_angle_beta 90.00
_cell_angle_gamma 90.00
loop_
_space_group_symop_operation_xyz
'x,y,z'
'-x,-y,z'
'-x,y,z'
'x,-y,z'
loop_
_atom_site_label
_atom_site_fract_x
_atom_site_fract_y
_atom_site_fract_z
K1 0.000 0.000 0.000
Na1 0.000 0.500 0.082
Mg1 0.000 0.000 0.551
Mg2 0.000 0.247 0.310
Mg3 0.000 0.283 0.831
Mg4 0.000 0.500 0.571
Mg5 0.500 0.000 0.303
Mg6 0.500 0.000 0.826
Mg7 0.500 0.246 0.575
Mg8 0.500 0.258 0.076
Mg9 0.500 0.500 0.321
Mg10 0.500 0.500 0.829
O1 0.000 0.000 0.325
O2 0.000 0.233 0.591
O3 0.000 0.258 0.069
O4 0.000 0.500 0.343
O5 0.000 0.500 0.805
O6 0.500 0.000 0.067
O7 0.500 0.000 0.589
O8 0.500 0.239 0.825
O9 0.500 0.247 0.327
O10 0.500 0.500 0.070
O11 0.500 0.500 0.580
# - ΔH_f (0 K): -2.68 eV per atom
# - Excess energy over the best structure of this formula in the dataset: 29 meV/atom

No. 2
# K3NaMgRu2O8 | the Materials Project database | PBE-GGA | optimized geometry
data_K3NaMgRu2O8
_space_group_name_H-M_alt 'C 1 2/m 1'
_space_group_IT_number 12
_cell_length_a 12.237
_cell_length_b 6.109
_cell_length_c 7.520
_cell_angle_alpha 90.00
_cell_angle_beta 94.44
_cell_angle_gamma 90.00
loop_
_space_group_symop_operation_xyz
'x,y,z'
'-x,-y,-z'
'-x,y,-z'
'x,-y,z'
'x+1/2,y+1/2,z'
'-x+1/2,-y+1/2,-z'
'-x+1/2,y+1/2,-z'
'x+1/2,-y+1/2,z'
loop_
_atom_site_label
_atom_site_fract_x
_atom_site_fract_y
_atom_site_fract_z
K1 0.000 0.000 0.000
K2 0.240 0.500 0.340
Na1 0.000 0.000 0.500
Mg1 0.000 0.500 0.500
Ru1 0.178 0.500 0.791
O1 0.095 0.290 0.643
O2 0.148 0.500 0.016
O3 0.183 0.000 0.271
# - ΔH_f (0 K): -1.71 eV per atom

No. 3
# K3NaMgRu2O8 | the Materials Project database | PBE-GGA | optimized geometry
data_K3NaMgRu2O8
_space_group_name_H-M_alt 'C 1 2 1'
_space_group_IT_number 5
_cell_length_a 10.529
_cell_length_b 6.608
_cell_length_c 7.778
_cell_angle_alpha 90.00
_cell_angle_beta 90.13
_cell_angle_gamma 90.00
loop_
_space_group_symop_operation_xyz
'x,y,z'
'-x,y,-z'
'x+1/2,y+1/2,z'
'-x+1/2,y+1/2,-z'
loop_
_atom_site_label
_atom_site_fract_x
_atom_site_fract_y
_atom_site_fract_z
K1 0.000 0.000 0.000
K2 0.179 0.329 0.669
Na1 0.000 0.850 0.500
Mg1 0.000 0.521 0.000
Ru1 0.181 0.349 0.235
O1 0.065 0.577 0.238
O2 0.110 0.131 0.333
O3 0.150 0.344 0.994
O4 0.161 0.915 0.703
# - ΔH_f (0 K): -1.71 eV per atom

No. 4
# KNaSrMg5Si8O24 | the Materials Project database | PBE-GGA | optimized geometry
data_KNaSrMg5Si8O24
_space_group_name_H-M_alt 'P 1'
_space_group_IT_number 1
_cell_length_a 5.283
_cell_length_b 10.255
_cell_length_c 10.626
_cell_angle_alpha 114.90
_cell_angle_beta 97.45
_cell_angle_gamma 104.27
loop_
_space_group_symop_operation_xyz
'x,y,z'
loop_
_atom_site_label
_atom_site_fract_x
_atom_site_fract_y
_atom_site_fract_z
K1 0.000 0.000 0.000
Na1 0.729 0.210 0.437
Sr1 0.292 0.774 0.564
Mg1 0.106 0.587 0.190
Mg2 0.323 0.304 0.625
Mg3 0.508 0.489 0.993
Mg4 0.687 0.668 0.351
Mg5 0.908 0.389 0.793
Si1 0.152 0.945 0.335
Si2 0.205 0.374 0.335
Si3 0.388 0.674 0.827
Si4 0.461 0.137 0.827
Si5 0.559 0.845 0.163
Si6 0.626 0.302 0.163
Si7 0.803 0.600 0.652
Si8 0.872 0.036 0.652
O1 0.065 0.424 0.992
O2 0.071 0.780 0.337
O3 0.123 0.708 0.763
O4 0.147 0.018 0.736
O5 0.196 0.375 0.485
O6 0.288 0.541 0.337
O7 0.310 0.093 0.485
O8 0.321 0.508 0.817
O9 0.352 0.937 0.222
O10 0.398 0.276 0.251
O11 0.487 0.165 0.994
O12 0.498 0.686 0.171
O13 0.518 0.293 0.817
O14 0.529 0.812 0.994
O15 0.611 0.702 0.736
O16 0.663 0.040 0.764
O17 0.695 0.469 0.171
O18 0.713 0.880 0.507
O19 0.722 0.437 0.651
O20 0.815 0.610 0.507
O21 0.874 0.959 0.251
O22 0.892 0.268 0.221
O23 0.949 0.552 0.992
O24 0.950 0.198 0.651
# - ΔH_f (0 K): -2.98 eV per atom

No. 5
# KNaMg3Zn2Si12O30 | the Materials Project database | PBE-GGA | optimized geometry
data_KNaMg3Zn2Si12O30
_space_group_name_H-M_alt 'C 1 2 1'
_space_group_IT_number 5
_cell_length_a 17.831
_cell_length_b 10.295
_cell_length_c 14.440
_cell_angle_alpha 90.00
_cell_angle_beta 90.00
_cell_angle_gamma 90.00
loop_
_space_group_symop_operation_xyz
'x,y,z'
'-x,y,-z'
'x+1/2,y+1/2,z'
'-x+1/2,y+1/2,-z'
loop_
_atom_site_label
_atom_site_fract_x
_atom_site_fract_y
_atom_site_fract_z
K1 0.000 0.000 0.000
K2 0.000 0.000 0.500
Na1 0.167 0.500 0.250
Mg1 0.167 0.500 0.504
Mg2 0.167 0.500 0.996
Mg3 0.250 0.250 0.500
Zn1 0.000 0.500 0.000
Zn2 0.000 0.500 0.500
Zn3 0.250 0.250 0.000
Si1 0.057 0.295 0.640
Si2 0.057 0.295 0.860
Si3 0.057 0.707 0.139
Si4 0.057 0.707 0.361
Si5 0.118 0.232 0.139
Si6 0.118 0.232 0.361
Si7 0.119 0.767 0.640
Si8 0.119 0.767 0.860
Si9 0.175 0.061 0.639
Si10 0.175 0.062 0.861
Si11 0.176 0.938 0.140
Si12 0.176 0.938 0.360
O1 0.029 0.245 0.116
O2 0.029 0.245 0.384
O3 0.029 0.754 0.617
O4 0.029 0.754 0.883
O5 0.064 0.328 0.750
O6 0.068 0.669 0.250
O7 0.078 0.418 0.577
O8 0.078 0.418 0.923
O9 0.079 0.580 0.080
O10 0.079 0.580 0.420
O11 0.108 0.167 0.883
O12 0.108 0.834 0.116
O13 0.109 0.167 0.616
O14 0.109 0.834 0.384
O15 0.132 0.267 0.250
O16 0.132 0.740 0.750
O17 0.137 0.079 0.117
O18 0.137 0.920 0.616
O19 0.137 0.921 0.884
O20 0.138 0.080 0.384
O21 0.170 0.328 0.080
O22 0.170 0.674 0.923
O23 0.170 0.675 0.576
O24 0.171 0.327 0.420
O25 0.196 0.932 0.250
O26 0.199 0.064 0.750
O27 0.247 0.907 0.424
O28 0.248 0.908 0.077
O29 0.249 0.092 0.920
O30 0.249 0.093 0.580
# - ΔH_f (0 K): -3.09 eV per atom

No. 6
# K2Na2MgTi2O6 | the Materials Project database | PBE-GGA | optimized geometry
data_K2Na2MgTi2O6
_space_group_name_H-M_alt 'C 1 2 1'
_space_group_IT_number 5
_cell_length_a 5.703
_cell_length_b 13.396
_cell_length_c 5.514
_cell_angle_alpha 90.00
_cell_angle_beta 90.14
_cell_angle_gamma 90.00
loop_
_space_group_symop_operation_xyz
'x,y,z'
'-x,y,-z'
'x+1/2,y+1/2,z'
'-x+1/2,y+1/2,-z'
loop_
_atom_site_label
_atom_site_fract_x
_atom_site_fract_y
_atom_site_fract_z
K1 0.000 0.000 0.000
K2 0.000 0.441 0.500
Na1 0.000 0.667 0.000
Na2 0.000 0.877 0.500
Mg1 0.000 0.690 0.500
Ti1 0.000 0.181 0.500
Ti2 0.000 0.281 0.000
O1 0.000 0.044 0.500
O2 0.000 0.413 0.000
O3 0.232 0.238 0.258
O4 0.233 0.242 0.737
# - ΔH_f (0 K): -2.33 eV per atom
# - Excess energy over the best structure of this formula in the dataset: 48 meV/atom

No. 7
# K2Na2MgTi2O6 | the Materials Project database | PBE-GGA | optimized geometry
data_K2Na2MgTi2O6
_space_group_name_H-M_alt 'P -1'
_space_group_IT_number 2
_cell_length_a 5.724
_cell_length_b 6.265
_cell_length_c 6.639
_cell_angle_alpha 61.98
_cell_angle_beta 85.31
_cell_angle_gamma 85.29
loop_
_space_group_symop_operation_xyz
'x,y,z'
'-x,-y,-z'
loop_
_atom_site_label
_atom_site_fract_x
_atom_site_fract_y
_atom_site_fract_z
K1 0.213 0.485 0.132
Na1 0.214 0.135 0.875
Mg1 0.500 0.500 0.500
Ti1 0.241 0.909 0.535
O1 0.042 0.048 0.275
O2 0.239 0.565 0.688
O3 0.406 0.169 0.541
# - ΔH_f (0 K): -2.37 eV per atom
# - Excess energy over the best structure of this formula in the dataset: 0 meV/atom

No. 8
# K3MgNbO8 | the Materials Project database | PBE-GGA | optimized geometry
data_K3MgNbO8
_space_group_name_H-M_alt 'C 1 m 1'
_space_group_IT_number 8
_cell_length_a 8.796
_cell_length_b 10.238
_cell_length_c 5.955
_cell_angle_alpha 90.00
_cell_angle_beta 126.79
_cell_angle_gamma 90.00
loop_
_space_group_symop_operation_xyz
'x,y,z'
'x,-y,z'
'x+1/2,y+1/2,z'
'x+1/2,-y+1/2,z'
loop_
_atom_site_label
_atom_site_fract_x
_atom_site_fract_y
_atom_site_fract_z
K1 0.000 0.000 0.000
K2 0.107 0.206 0.563
Mg1 0.463 0.000 0.420
Nb1 0.028 0.500 0.984
O1 0.005 0.303 0.058
O2 0.160 0.500 0.820
O3 0.223 0.500 0.465
O4 0.307 0.000 0.576
O5 0.310 0.500 0.318
O6 0.365 0.133 0.093
# - ΔH_f (0 K): -1.62 eV per atom
# - Excess energy over the best structure of this formula in the dataset: 126 meV/atom

No. 9
# K3MgNbO8 | the Materials Project database | PBE-GGA | optimized geometry
data_K3MgNbO8
_space_group_name_H-M_alt 'I 2 2 2'
_space_group_IT_number 23
_cell_length_a 6.045
_cell_length_b 6.921
_cell_length_c 10.514
_cell_angle_alpha 90.00
_cell_angle_beta 90.00
_cell_angle_gamma 90.00
loop_
_space_group_symop_operation_xyz
'x,y,z'
'-x,-y,z'
'x,-y,-z'
'-x,y,-z'
'x+1/2,y+1/2,z+1/2'
'-x+1/2,-y+1/2,z+1/2'
'x+1/2,-y+1/2,-z+1/2'
'-x+1/2,y+1/2,-z+1/2'
loop_
_atom_site_label
_atom_site_fract_x
_atom_site_fract_y
_atom_site_fract_z
K1 0.000 0.000 0.000
K2 0.000 0.500 0.321
Mg1 0.000 0.500 0.000
Nb1 0.000 0.000 0.500
O1 0.166 0.126 0.351
O2 0.247 0.295 0.014
# - ΔH_f (0 K): -1.74 eV per atom
# - Excess energy over the best structure of this formula in the dataset: 0 meV/atom

No. 10
# KMgNbO15 | the Materials Project database | PBE-GGA | optimized geometry
data_KMgNbO15
_space_group_name_H-M_alt 'P 1 21/c 1'
_space_group_IT_number 14
_cell_length_a 9.357
_cell_length_b 12.635
_cell_length_c 13.527
_cell_angle_alpha 90.00
_cell_angle_beta 119.62
_cell_angle_gamma 90.00
loop_
_space_group_symop_operation_xyz
'x,y,z'
'-x,-y,-z'
'-x,y+1/2,-z+1/2'
'x,-y+1/2,z+1/2'
loop_
_atom_site_label
_atom_site_fract_x
_atom_site_fract_y
_atom_site_fract_z
K1 0.042 0.032 0.230
Mg1 0.500 0.000 0.000
Mg2 0.500 0.000 0.500
Nb1 0.153 0.743 0.582
O1 0.034 0.746 0.183
O2 0.048 0.735 0.411
O3 0.073 0.216 0.923
O4 0.132 0.590 0.099
O5 0.184 0.586 0.614
O6 0.216 0.732 0.959
O7 0.262 0.501 0.455
O8 0.279 0.553 0.915
O9 0.285 0.122 0.764
O10 0.290 0.621 0.164
O11 0.291 0.573 0.390
O12 0.314 0.137 0.471
O13 0.335 0.644 0.683
O14 0.390 0.151 0.415
O15 0.414 0.124 0.856
# - ΔH_f (0 K): -0.69 eV per atom